No. 1
# H8W3SeN2O12

An optimized crystal structure of H8W3SeN2O12 (PBE with a Hubbard U, the Materials Project).

Unit cell a=7.3492 b=7.3492 c=12.5725 alpha=90.00 beta=90.00 gamma=120.00
Space group P6_3 (No. 173)
One atom of each set of equivalent atoms:
H 0.1805 0.5837 0.0000 [6 per cell]
H 0.2548 0.5117 0.3866 [6 per cell]
H 0.3333 0.6667 0.2774 [2 per cell]
H 0.3333 0.6667 0.8891 [2 per cell]
W 0.1673 0.3389 0.6318 [6 per cell]
Se 0.0000 0.0000 0.4025 [2 per cell]
N 0.3333 0.6667 0.3589 [2 per cell]
N 0.3333 0.6667 0.9716 [2 per cell]
O 0.0846 0.5434 0.5859 [6 per cell]
O 0.1216 0.2491 0.4613 [6 per cell]
O 0.1232 0.2486 0.1421 [6 per cell]
O 0.1998 0.4048 0.7678 [6 per cell]

Calculated values
Its corrected total energy (MP2020 scheme) is -7.039 eV/atom. The calculation puts the largest piezoelectric modulus at 0.923 C/m². The value obtained for the total magnetization is 0.00 μB/cell.

No. 2
# MgVP2O7

An optimized crystal structure of MgVP2O7 (PBE with a Hubbard U, the Materials Project).

Unit cell a=6.7468 b=8.6615 c=4.6415 alpha=90.00 beta=101.69 gamma=90.00
Space group C2 (No. 5)
One atom of each set of equivalent atoms:
Mg 0.0000 0.0000 0.0000 [2 per cell]
V 0.0000 0.3717 0.5000 [2 per cell]
P 0.2110 0.7092 0.9016 [4 per cell]
O 0.0000 0.7611 0.0000 [2 per cell]
O 0.1327 0.1905 0.8083 [4 per cell]
O 0.1969 0.5494 0.7570 [4 per cell]
O 0.2361 0.8486 0.7143 [4 per cell]

Calculated values
Its corrected total energy (MP2020 scheme) is -7.771 eV/atom. The value obtained for the total magnetization is 6.00 μB/cell.

No. 3
# La2VZnO6

An optimized crystal structure of La2VZnO6 (PBE with a Hubbard U, the Materials Project).

Unit cell a=5.6663 b=5.6663 c=13.3954 alpha=90.00 beta=90.00 gamma=120.00
Space group R-3 (No. 148, hexagonal axes)
One atom of each set of equivalent atoms:
La 0.0000 0.0000 0.2492 [6 per cell]
V 0.0000 0.0000 0.0000 [3 per cell]
Zn 0.0000 0.0000 0.5000 [3 per cell]
O 0.0137 0.5856 0.7477 [18 per cell]

Calculated values
Its corrected total energy (MP2020 scheme) is -8.066 eV/atom. The value obtained for the total magnetization is 3.00 μB/cell.

No. 4
# Fe5CoP6O24

An optimized crystal structure of Fe5CoP6O24 (PBE with a Hubbard U, the Materials Project).

Unit cell a=8.6019 b=8.6019 c=20.1935 alpha=90.00 beta=90.00 gamma=120.00
Space group R3 (No. 146, hexagonal axes)
One atom of each set of equivalent atoms:
Fe 0.0000 0.0000 0.0000 [3 per cell]
Fe 0.0000 0.0000 0.1437 [3 per cell]
Fe 0.0000 0.0000 0.3517 [3 per cell]
Fe 0.0000 0.0000 0.4975 [3 per cell]
Fe 0.0000 0.0000 0.6444 [3 per cell]
Co 0.0000 0.0000 0.8585 [3 per cell]
P 0.0352 0.6692 0.9133 [9 per cell]
P 0.0433 0.3747 0.4169 [9 per cell]
O 0.0021 0.1952 0.8129 [9 per cell]
O 0.0029 0.7993 0.3096 [9 per cell]
O 0.0118 0.1790 0.4268 [9 per cell]
O 0.0118 0.8387 0.9240 [9 per cell]
O 0.1396 0.6785 0.8517 [9 per cell]
O 0.1434 0.4622 0.3534 [9 per cell]
O 0.1631 0.6728 0.2365 [9 per cell]
O 0.1663 0.4835 0.7379 [9 per cell]

Calculated values
Its corrected total energy (MP2020 scheme) is -7.806 eV/atom. The value obtained for the total magnetization is 75.00 μB/cell.

No. 5
# V4Ge13O36

An optimized crystal structure of V4Ge13O36 (PBE with a Hubbard U, the Materials Project).

Unit cell a=4.5174 b=2.8969 c=40.7322 alpha=90.00 beta=90.35 gamma=90.00
Space group P2/m (No. 10)
One atom of each set of equivalent atoms:
V 0.0144 0.0000 0.3901 [2 per cell]
V 0.4732 0.5000 0.4524 [2 per cell]
Ge 0.9999 0.0000 0.0555 [2 per cell]
Ge 0.9999 0.0000 0.1666 [2 per cell]
Ge 0.0024 0.0000 0.2772 [2 per cell]
Ge 0.4925 0.5000 0.6679 [2 per cell]
Ge 0.5000 0.5000 0.0000 [1 per cell]
Ge 0.4999 0.5000 0.1111 [2 per cell]
Ge 0.5001 0.5000 0.2219 [2 per cell]
O 0.1832 0.5000 0.5924 [2 per cell]
O 0.1902 0.5000 0.7016 [2 per cell]
O 0.1920 0.5000 0.0342 [2 per cell]
O 0.1918 0.5000 0.1452 [2 per cell]
O 0.1915 0.5000 0.2558 [2 per cell]
O 0.1921 0.5000 0.8121 [2 per cell]
O 0.1920 0.5000 0.9231 [2 per cell]
O 0.1958 0.5000 0.4767 [2 per cell]
O 0.2010 0.5000 0.3657 [2 per cell]
O 0.2942 0.0000 0.4210 [2 per cell]
O 0.3047 0.0000 0.6462 [2 per cell]
O 0.3079 0.0000 0.0897 [2 per cell]
O 0.3078 0.0000 0.2006 [2 per cell]
O 0.3080 0.0000 0.8676 [2 per cell]
O 0.3079 0.0000 0.9787 [2 per cell]
O 0.3091 0.0000 0.3110 [2 per cell]
O 0.3086 0.0000 0.7566 [2 per cell]
O 0.3171 0.0000 0.5350 [2 per cell]

Calculated values
Its corrected total energy (MP2020 scheme) is -7.268 eV/atom. The value obtained for the total magnetization is 0.00 μB/cell.

No. 6
# Tm2MgV2O8

An optimized crystal structure of Tm2MgV2O8 (PBE with a Hubbard U, the Materials Project).

Unit cell a=6.4390 b=10.1662 c=6.1620 alpha=90.00 beta=121.27 gamma=90.00
Space group C2 (No. 5)
One atom of each set of equivalent atoms:
Tm 0.0000 0.0000 0.0000 [2 per cell]
Tm 0.0000 0.2837 0.5000 [2 per cell]
Mg 0.0000 0.9899 0.5000 [2 per cell]
V 0.0000 0.5088 0.0000 [2 per cell]
V 0.0000 0.7229 0.5000 [2 per cell]
O 0.0884 0.8521 0.3358 [4 per cell]
O 0.1010 0.4230 0.8142 [4 per cell]
O 0.2081 0.1512 0.3163 [4 per cell]
O 0.2193 0.0980 0.7895 [4 per cell]

Calculated values
Its corrected total energy (MP2020 scheme) is -8.337 eV/atom. The value obtained for the total magnetization is 0.00 μB/cell.

No. 7
# Li15Mn2O12

An optimized crystal structure of Li15Mn2O12 (PBE with a Hubbard U, the Materials Project).

Unit cell a=5.4698 b=5.7885 c=7.9736 alpha=85.95 beta=89.72 gamma=89.98
Space group P1 (No. 1)
One atom of each set of equivalent atoms:
Li 0.0000 0.0000 0.0000 [1 per cell]
Li 0.0138 0.6747 0.3930 [1 per cell]
Li 0.0862 0.3581 0.7177 [1 per cell]
Li 0.2171 0.3043 0.4344 [1 per cell]
Li 0.2178 0.9432 0.7348 [1 per cell]
Li 0.3527 0.8978 0.4506 [1 per cell]
Li 0.3605 0.1860 0.1567 [1 per cell]
Li 0.4318 0.5845 0.8101 [1 per cell]
Li 0.5243 0.1433 0.8818 [1 per cell]
Li 0.5485 0.5507 0.5214 [1 per cell]
Li 0.5805 0.8244 0.1879 [1 per cell]
Li 0.6995 0.4257 0.2502 [1 per cell]
Li 0.8354 0.4246 0.9647 [1 per cell]
Li 0.8698 0.7273 0.6845 [1 per cell]
Li 0.9056 0.0568 0.2931 [1 per cell]
Mn 0.2060 0.6121 0.0932 [1 per cell]
Mn 0.7128 0.1297 0.5851 [1 per cell]
O 0.0142 0.9626 0.5162 [1 per cell]
O 0.0406 0.3158 0.1579 [1 per cell]
O 0.0841 0.6198 0.8605 [1 per cell]
O 0.3437 0.9170 0.0224 [1 per cell]
O 0.3527 0.6190 0.3206 [1 per cell]
O 0.4183 0.2889 0.6611 [1 per cell]
O 0.4999 0.4444 0.0275 [1 per cell]
O 0.5451 0.8316 0.6494 [1 per cell]
O 0.5702 0.1223 0.3542 [1 per cell]
O 0.8574 0.1363 0.8071 [1 per cell]
O 0.8731 0.4251 0.5202 [1 per cell]
O 0.9134 0.7652 0.1719 [1 per cell]

Calculated values
Its corrected total energy (MP2020 scheme) is -5.693 eV/atom. The value obtained for the total magnetization is 5.00 μB/cell.

No. 8
# Rb2Nd2MgW4O16

An optimized crystal structure of Rb2Nd2MgW4O16 (PBE with a Hubbard U, the Materials Project).

Unit cell a=7.5727 b=7.5970 c=8.2150 alpha=87.39 beta=62.99 gamma=61.89
Space group P1 (No. 1)
One atom of each set of equivalent atoms:
Rb 0.0000 0.0000 0.0000 [1 per cell]
Rb 0.3957 0.4932 0.7403 [1 per cell]
Nd 0.4753 0.9820 0.0655 [1 per cell]
Nd 0.9479 0.4781 0.6646 [1 per cell]
Mg 0.8270 0.2391 0.3838 [1 per cell]
W 0.0277 0.9112 0.5529 [1 per cell]
W 0.4124 0.5332 0.1828 [1 per cell]
W 0.5222 0.9376 0.5370 [1 per cell]
W 0.9097 0.5395 0.1830 [1 per cell]
O 0.0967 0.2516 0.1948 [1 per cell]
O 0.1600 0.6039 0.1328 [1 per cell]
O 0.1958 0.5889 0.4531 [1 per cell]
O 0.2489 0.8554 0.2796 [1 per cell]
O 0.2893 0.8642 0.5963 [1 per cell]
O 0.3298 0.2028 0.5430 [1 per cell]
O 0.4595 0.9542 0.7830 [1 per cell]
O 0.5290 0.2607 0.1019 [1 per cell]
O 0.5780 0.5986 0.9621 [1 per cell]
O 0.6589 0.4512 0.2597 [1 per cell]
O 0.6626 0.8491 0.2523 [1 per cell]
O 0.7679 0.6229 0.4718 [1 per cell]
O 0.7766 0.0033 0.4701 [1 per cell]
O 0.8614 0.8587 0.7793 [1 per cell]
O 0.8992 0.2122 0.5956 [1 per cell]
O 0.9945 0.4913 0.9337 [1 per cell]

Calculated values
Its corrected total energy (MP2020 scheme) is -8.354 eV/atom. The value obtained for the total magnetization is 2.00 μB/cell.

No. 9
# BaEuSnWO6

An optimized crystal structure of BaEuSnWO6 (PBE with a Hubbard U, the Materials Project).

Unit cell a=8.6559 b=8.6559 c=8.6559 alpha=90.00 beta=90.00 gamma=90.00
Space group F-43m (No. 216)
One atom of each set of equivalent atoms:
Ba 0.0000 0.0000 0.0000 [4 per cell]
Eu 0.0000 0.0000 0.5000 [4 per cell]
Sn 0.2500 0.2500 0.7500 [4 per cell]
W 0.2500 0.2500 0.2500 [4 per cell]
O 0.0241 0.2500 0.2500 [24 per cell]

Calculated values
Its corrected total energy (MP2020 scheme) is -8.317 eV/atom. The value obtained for the total magnetization is 28.00 μB/cell.

No. 10
# Fe10O9F11

An optimized crystal structure of Fe10O9F11 (PBE with a Hubbard U, the Materials Project).

Unit cell a=4.7884 b=15.3803 c=4.7920 alpha=90.00 beta=93.43 gamma=90.00
Space group Pm (No. 6)
One atom of each set of equivalent atoms:
Fe 0.0000 0.0000 0.0000 [1 per cell]
Fe 0.0055 0.1896 0.0146 [2 per cell]
Fe 0.0257 0.3977 0.9661 [2 per cell]
Fe 0.4565 0.3049 0.4753 [2 per cell]
Fe 0.5051 0.0971 0.5052 [2 per cell]
Fe 0.5085 0.5000 0.5544 [1 per cell]
O 0.1768 0.2994 0.1789 [2 per cell]
O 0.2022 0.0986 0.2046 [2 per cell]
O 0.3086 0.3996 0.6902 [2 per cell]
O 0.8033 0.1012 0.8064 [2 per cell]
O 0.8216 0.5000 0.8213 [1 per cell]
F 0.2124 0.5000 0.2012 [1 per cell]
F 0.2992 0.0000 0.7078 [1 per cell]
F 0.2986 0.2051 0.6907 [2 per cell]
F 0.6860 0.2070 0.3040 [2 per cell]
F 0.6892 0.4012 0.3088 [2 per cell]
F 0.7075 0.0000 0.3001 [1 per cell]
F 0.7904 0.2992 0.7848 [2 per cell]

Calculated values
Its corrected total energy (MP2020 scheme) is -7.072 eV/atom. The value obtained for the total magnetization is 49.00 μB/cell.

No. 11
# Fe4As5O13

An optimized crystal structure of Fe4As5O13 (PBE with a Hubbard U, the Materials Project).

Unit cell a=9.0716 b=9.2273 c=9.2929 alpha=94.27 beta=116.38 gamma=111.76
Space group P1 (No. 1)
One atom of each set of equivalent atoms:
Fe 0.0000 0.0000 0.0000 [1 per cell]
Fe 0.0027 0.0002 0.4995 [1 per cell]
Fe 0.2598 0.1935 0.3808 [1 per cell]
Fe 0.3522 0.3822 0.7989 [1 per cell]
Fe 0.4713 0.2238 0.1075 [1 per cell]
Fe 0.5335 0.7783 0.8932 [1 per cell]
Fe 0.6537 0.6211 0.1962 [1 per cell]
Fe 0.7423 0.8065 0.6174 [1 per cell]
As 0.1027 0.7931 0.3034 [1 per cell]
As 0.1646 0.8379 0.8344 [1 per cell]
As 0.2134 0.4319 0.0952 [1 per cell]
As 0.3045 0.5527 0.5390 [1 per cell]
As 0.4753 0.0924 0.7425 [1 per cell]
As 0.5282 0.9081 0.2597 [1 per cell]
As 0.6992 0.4462 0.4551 [1 per cell]
As 0.7928 0.5684 0.9045 [1 per cell]
As 0.8455 0.1683 0.1657 [1 per cell]
As 0.9038 0.2067 0.6951 [1 per cell]
O 0.0111 0.1575 0.3553 [1 per cell]
O 0.0212 0.3759 0.8875 [1 per cell]
O 0.1006 0.2102 0.6886 [1 per cell]
O 0.1354 0.2397 0.1442 [1 per cell]
O 0.1429 0.9670 0.2211 [1 per cell]
O 0.2308 0.0291 0.9785 [1 per cell]
O 0.2764 0.0673 0.5530 [1 per cell]
O 0.2878 0.5625 0.7279 [1 per cell]
O 0.3682 0.9120 0.7990 [1 per cell]
O 0.3781 0.4036 0.0409 [1 per cell]
O 0.3848 0.3946 0.5829 [1 per cell]
O 0.4801 0.2609 0.3438 [1 per cell]
O 0.4828 0.2411 0.8900 [1 per cell]
O 0.5183 0.7360 0.6359 [1 per cell]
O 0.5215 0.7567 0.1213 [1 per cell]
O 0.6239 0.6041 0.4147 [1 per cell]
O 0.6275 0.0899 0.1915 [1 per cell]
O 0.6276 0.5866 0.9603 [1 per cell]
O 0.7131 0.4323 0.2637 [1 per cell]
O 0.7310 0.9382 0.4485 [1 per cell]
O 0.7835 0.9809 0.0284 [1 per cell]
O 0.8636 0.0343 0.7787 [1 per cell]
O 0.8691 0.7623 0.8571 [1 per cell]
O 0.9064 0.7893 0.3114 [1 per cell]
O 0.9874 0.6251 0.1120 [1 per cell]
O 0.9950 0.8458 0.6468 [1 per cell]

Calculated values
Its corrected total energy (MP2020 scheme) is -7.169 eV/atom. The value obtained for the total magnetization is 38.00 μB/cell.

For reference, final energy by record: -6.2094 -7.1791 -7.4836 -6.9896 -6.6733 -7.6530 -5.2933 -7.2040 -7.4609 -5.9445 -6.3531 eV per atom.